# 1
11
Lattice="-0.969 5.944 2.326 -0.321 0.133 -6.446 -4.536 -3.976 2.299" Properties=species:S:1:pos:R:3 comment="Eu3Ga4Ni4 (PBE, relaxed)" ef_ev_per_fu=-5.32 pbc="T T T"
Eu -2.753 0.984 2.312
Eu -0.645 3.038 -2.060
Eu -2.429 -1.922 -2.074
Ga -3.522 1.269 -1.101
Ga -0.383 2.351 0.920
Ga -1.794 -1.573 0.909
Ga -0.127 0.053 -2.550
Ni -1.399 0.504 -0.438
Ni -0.736 4.516 1.767
Ni -0.244 0.101 -4.898
Ni -3.447 -3.021 1.747

# 2
80
Lattice="-4.560 -9.882 1.142 -3.032 6.402 8.341 -3.306 4.476 -9.423" Properties=species:S:1:pos:R:3 comment="Eu3Ga5O12 (PBE, relaxed)" ef_ev_per_fu=-52.92 pbc="T T T"
Eu -2.690 0.490 2.235
Eu -8.207 0.506 -2.175
Eu -5.039 -4.933 -1.634
Eu -2.568 2.044 -1.306
Eu -4.397 1.655 5.506
Eu -5.859 5.929 1.695
Eu -8.330 -1.048 1.366
Eu -6.500 -0.659 -5.446
Eu -2.915 -1.786 -0.885
Eu -7.982 2.783 0.945
Eu -4.186 4.523 -3.796
Eu -6.711 -3.526 3.857
Ga -4.274 3.209 1.965
Ga -6.623 -2.213 -1.905
Ga -6.486 -1.250 6.977
Ga -4.534 0.692 -3.376
Ga -6.363 0.304 3.436
Ga -4.412 2.246 -6.917
Ga -5.736 7.483 -1.846
Ga -5.161 -6.487 1.907
Ga -4.813 -2.656 1.486
Ga -6.084 3.653 -1.426
Ga -6.848 -4.489 -5.025
Ga -4.049 5.486 5.085
Ga 0.000 0.000 0.000
Ga -3.933 -2.703 -4.140
Ga -3.169 5.439 -0.541
Ga -2.280 -4.941 0.571
Ga -3.796 -1.740 4.741
Ga -5.449 0.498 0.030
Ga -1.653 2.238 -4.711
Ga -1.516 3.201 4.170
O -4.310 -0.938 0.905
O -6.588 1.934 -0.845
O -3.861 -3.707 0.248
O -6.520 -5.636 -3.569
O -4.060 1.805 0.731
O -5.236 4.031 5.215
O -7.036 4.704 -0.188
O -4.377 6.632 3.629
O -6.838 -0.808 -0.671
O -5.661 -3.034 -5.155
O -4.072 5.872 -5.805
O -3.274 2.528 3.407
O -1.286 -0.129 -1.567
O -6.825 -4.875 5.865
O -7.623 -1.532 -3.346
O -9.611 1.125 1.627
O -5.898 0.523 7.208
O -4.227 3.957 -1.441
O -5.000 0.473 -7.148
O -6.671 -2.961 1.501
O -5.258 -7.339 -1.803
O -6.486 4.016 -3.228
O -5.640 8.336 1.863
O -4.412 -3.019 3.289
O -4.212 0.284 -1.567
O -6.651 1.737 4.622
O -6.686 0.712 1.627
O -4.247 -0.741 -4.562
O -5.388 6.741 -3.541
O -1.117 1.594 0.582
O -5.509 -5.744 3.601
O -9.781 -0.598 -0.521
O -4.286 2.712 7.683
O -6.154 -5.722 0.502
O -6.611 -1.716 -7.623
O -4.744 6.718 -0.442
O -3.348 2.137 -3.597
O -4.568 -0.092 3.838
O -7.549 -1.141 3.657
O -6.330 1.089 -3.777
O -5.370 3.224 -5.625
O -5.528 -2.227 5.685
O -1.363 -1.121 1.007
O -9.535 2.118 -0.946
O -7.198 -3.893 -1.281
O -3.699 4.890 1.342
O -4.833 -2.619 -2.321
O -6.065 3.615 2.381

# 3
20
Lattice="4.291 5.598 -2.119 -5.910 0.712 -4.336 -2.390 3.268 3.794" Properties=species:S:1:pos:R:3 comment="Eu3GaO6 (PBE, relaxed)" ef_ev_per_fu=-29.64 pbc="T T T"
Eu -0.343 3.265 0.773
Eu -1.340 7.150 -3.201
Eu -4.711 7.742 -1.777
Eu -3.714 3.857 2.198
Eu -2.921 4.043 -1.830
Eu -1.951 6.714 0.537
Ga -3.967 1.678 -3.880
Ga 1.114 6.318 -0.619
O -3.902 3.559 -4.066
O -3.403 1.614 -2.075
O 0.228 5.560 0.871
O -0.271 7.505 -1.120
O -0.873 2.886 -1.400
O -1.389 4.896 -3.456
O -2.905 6.376 -1.628
O -2.390 4.367 0.428
O -5.809 1.398 -3.691
O 2.304 7.490 0.229
O -5.347 3.957 -1.305
O 1.700 5.126 -1.931

# 4
9
Lattice="-0.442 1.511 3.607 -0.650 -3.608 1.432 7.431 -0.838 1.262" Properties=species:S:1:pos:R:3 comment="Eu2Ga2O5 (PBE, relaxed)" ef_ev_per_fu=-23.82 pbc="T T T"
Eu 0.000 0.000 0.000
Eu 3.716 -0.419 0.631
Ga 1.309 -1.258 2.834
Ga 5.031 -1.677 3.466
O 1.371 0.576 2.074
O 5.618 0.097 2.795
O 3.170 -1.467 3.150
O 1.268 -1.984 0.986
O 5.514 -2.462 1.707

# 5
80
Lattice="-4.422 0.161 -5.995 0.636 -13.155 -5.419 -10.928 -8.530 3.222" Properties=species:S:1:pos:R:3 comment="Rb2EuGaSi4O12 (PBE, relaxed)" ef_ev_per_fu=-60.56 pbc="T T T"
Eu -10.499 -9.127 -2.049
Eu -6.632 -11.340 -8.968
Eu -4.215 -12.404 -6.134
Eu -8.073 -10.166 0.770
Rb -8.413 -9.326 -5.599
Rb -13.553 -20.196 -6.691
Rb -8.075 -5.255 -3.519
Rb -1.197 -1.354 -1.516
Rb -6.308 -12.197 -2.562
Rb -10.927 -16.241 -1.457
Rb -6.585 -16.222 -4.653
Rb -3.786 -5.283 -6.726
Ga -11.933 -14.179 -5.934
Ga -10.613 -18.096 -6.995
Ga -4.104 -3.424 -1.197
Ga -2.786 -7.342 -2.252
Si -12.600 -16.972 -4.842
Si -5.407 -6.208 -0.971
Si -7.784 -12.968 -5.907
Si -13.817 -10.635 -1.892
Si -4.474 -9.403 -4.073
Si -10.067 -7.107 0.500
Si -4.649 -14.419 -8.688
Si -6.905 -8.561 -2.296
Si -2.114 -4.540 -3.361
Si -9.307 -15.307 -7.231
Si -10.047 -12.709 -1.165
Si -10.229 -12.127 -4.124
Si -7.286 -6.635 1.572
Si -4.662 -8.807 -7.013
Si -7.423 -14.892 -9.759
Si -0.892 -10.869 -6.310
O -8.439 -8.384 -2.793
O -10.862 -18.415 -8.777
O -5.303 -10.280 -7.179
O -11.418 -12.881 -0.257
O -8.416 -14.494 -6.121
O -4.170 -10.976 -4.320
O -9.224 -16.890 -6.826
O -8.710 -15.074 -8.739
O -3.840 -3.119 0.589
O -6.035 -9.217 -3.568
O -10.439 -13.008 -2.751
O -3.883 -6.777 -0.889
O -3.864 -14.912 -7.330
O -12.596 -9.757 -1.282
O -9.795 -8.682 0.237
O -5.492 -4.626 -1.386
O -10.377 -20.088 -3.576
O -11.766 -7.975 -3.822
O -6.271 -7.027 -2.102
O -12.202 -15.408 -4.576
O -6.052 -15.261 -8.892
O -12.225 -17.491 -6.341
O -3.291 -8.638 -7.923
O -6.018 -6.439 0.530
O -9.141 -13.983 -0.695
O -2.499 -4.000 -1.876
O -8.675 -12.316 -4.652
O -13.864 -10.746 -3.506
O -11.336 -12.551 -5.262
O -2.517 -6.105 -3.597
O -10.826 -14.720 -7.308
O -8.671 -6.274 0.733
O -2.925 -13.557 -4.372
O -10.525 -10.548 -3.895
O -4.349 -1.442 -4.621
O -3.399 -8.968 -2.911
O -6.263 -13.150 -5.378
O -10.824 -6.595 -0.862
O -2.119 -11.748 -6.902
O -5.587 -7.550 -7.483
O -6.690 -9.469 -0.971
O -4.248 -8.510 -5.434
O -11.802 -17.854 -3.714
O -0.856 -10.709 -4.696
O -7.975 -12.053 -7.232
O -2.878 -3.665 -4.521
O -9.401 -11.237 -0.992
O -4.926 -12.841 -8.436

# 6
80
Lattice="-7.455 -0.360 0.103 -3.138 -13.416 -3.591 -3.167 -8.716 10.817" Properties=species:S:1:pos:R:3 comment="Rb2EuGaSi4O12 (PBE, relaxed)" ef_ev_per_fu=-60.55 pbc="T T T"
Rb -8.252 -20.846 7.173
Rb -8.692 -12.714 3.768
Rb -5.509 -1.646 0.155
Rb -5.069 -9.779 3.560
Rb -6.708 -16.722 2.744
Rb -6.636 -16.663 8.148
Rb -7.053 -5.770 4.585
Rb -7.124 -5.829 -0.820
Eu -3.414 -11.754 0.153
Eu -7.098 -12.933 -0.073
Eu -10.346 -10.739 7.176
Eu -6.663 -9.559 7.401
Ga -9.842 -18.814 4.657
Ga -10.009 -14.886 6.324
Ga -3.918 -3.678 2.671
Ga -3.752 -7.606 1.004
Si -9.027 -11.458 -2.799
Si -5.117 -13.404 2.929
Si -4.734 -11.034 10.127
Si -8.644 -9.088 4.400
Si -10.528 -16.048 3.460
Si -10.391 -17.704 7.536
Si -3.233 -6.444 3.868
Si -3.369 -4.788 -0.208
Si -9.648 -15.614 0.426
Si -6.224 -9.332 -0.272
Si -4.113 -6.879 6.902
Si -7.536 -13.160 7.601
Si -4.737 -14.877 -1.255
Si -8.676 -9.950 1.375
Si -9.023 -7.616 8.584
Si -5.084 -12.542 5.953
O -2.883 -10.996 -1.960
O -6.438 -13.633 2.023
O -10.877 -11.496 9.288
O -7.322 -8.860 5.305
O -12.668 -20.853 6.560
O -5.614 -12.772 4.400
O -1.093 -1.640 0.769
O -8.147 -9.720 2.928
O -9.569 -15.444 4.628
O -9.412 -18.214 6.341
O -4.192 -7.048 2.700
O -4.349 -4.279 0.987
O -10.853 -17.639 3.648
O -10.874 -16.152 7.359
O -2.908 -4.853 3.680
O -2.887 -6.340 -0.031
O -9.703 -15.797 2.070
O -6.341 -9.156 -1.914
O -4.058 -6.695 5.259
O -7.419 -13.336 9.242
O -11.143 -16.037 -0.168
O -7.736 -9.054 0.363
O -2.617 -6.455 7.496
O -6.024 -13.438 6.966
O -9.247 -14.113 0.004
O -5.669 -10.787 0.137
O -4.513 -8.380 7.325
O -8.091 -11.706 7.192
O -5.494 -3.386 3.554
O -5.315 -8.050 0.164
O -8.267 -19.106 3.775
O -8.446 -14.442 7.164
O -7.778 -12.292 -2.195
O -3.971 -12.454 2.292
O -5.983 -10.200 9.523
O -9.789 -10.038 5.036
O -11.755 -18.612 7.619
O -4.519 -14.915 3.314
O -2.005 -3.880 -0.291
O -9.241 -7.577 4.015
O -6.273 -15.417 -1.034
O -2.807 -9.200 1.094
O -7.488 -7.075 8.363
O -10.954 -13.292 6.234
O -4.829 -13.308 -0.882
O -8.627 -11.521 1.003
O -8.931 -9.185 8.211
O -5.134 -10.971 6.326

# 7
10
Lattice="-1.867 5.332 -0.328 -5.263 1.050 -1.794 -3.913 1.857 3.642" Properties=species:S:1:pos:R:3 comment="EuGaSnSbO6 (PBE, relaxed)" ef_ev_per_fu=-21.38 pbc="T T T"
Eu -2.761 2.060 0.380
Ga 0.000 0.000 0.000
Sn -8.282 6.179 1.140
Sb -5.521 4.119 0.760
O -3.688 4.727 0.214
O -7.355 3.511 1.306
O -5.651 5.659 2.041
O -5.392 2.579 -0.521
O -6.328 5.254 -0.685
O -4.715 2.984 2.206

# 8
20
Lattice="-0.921 2.163 3.183 6.187 6.561 -2.668 -9.479 4.783 -5.993" Properties=species:S:1:pos:R:3 comment="EuGa2P2 (PBE, relaxed)" ef_ev_per_fu=-3.39 pbc="T T T"
Eu -1.443 2.615 -2.195
Eu -1.849 8.728 -6.467
Eu -0.460 1.081 1.591
Eu -2.107 6.753 -2.740
Ga 1.450 3.943 0.199
Ga -5.663 9.564 -5.679
Ga 0.914 8.981 -3.379
Ga -5.127 4.526 -2.100
Ga 1.046 5.257 -3.270
Ga -4.338 6.087 -5.392
Ga 3.330 6.092 -3.177
Ga -6.622 5.252 -5.485
P -0.156 5.212 -1.127
P -4.057 8.295 -4.352
P -3.458 4.303 -3.925
P 0.166 7.040 -4.737
P 3.118 8.425 -2.364
P -7.331 5.082 -3.115
P 1.225 1.698 -0.800
P -4.517 9.646 -7.862